No. 1
{"formula": "DyYMg2", "functional": "GGA-PBE", "state": "relaxed", "lattice_angstrom": [[0.0000, 3.7984, 3.7984], [3.7984, 0.0000, 3.7984], [3.7984, 3.7984, 0.0000]], "species": ["Dy", "Mg", "Mg", "Y"], "fractional_positions": [[0.0000, 0.0000, 0.0000], [0.7500, 0.7500, 0.7500], [0.2500, 0.2500, 0.2500], [0.5000, 0.5000, 0.5000]], "space_group": "Fm-3m"}

No. 2
{"formula": "Cd8S2O23", "functional": "GGA-PBE", "state": "relaxed", "lattice_angstrom": [[-4.8726, -8.4421, 0.0000], [-4.8791, 8.4458, 0.0000], [0.0000, 0.0000, -12.7541]], "species": ["O", "O", "O", "O", "O", "O", "O", "O", "O", "O", "O", "O", "O", "O", "O", "O", "O", "O", "O", "O", "O", "O", "O", "O", "O", "O", "O", "O", "O", "O", "O", "O", "O", "O", "O", "O", "O", "O", "O", "O", "O", "O", "O", "O", "O", "O", "Cd", "Cd", "Cd", "Cd", "Cd", "Cd", "Cd", "Cd", "Cd", "Cd", "Cd", "Cd", "Cd", "Cd", "Cd", "Cd", "S", "S", "S", "S"], "fractional_positions": [[0.2897, 0.8438, 0.7184], [0.0000, 0.0004, 0.1007], [0.8636, 0.3522, 0.4362], [0.8617, 0.5921, 0.5764], [0.8212, 0.7471, 0.9367], [0.4081, 0.2691, 0.5763], [0.5121, 0.8636, 0.9367], [0.1561, 0.4462, 0.7186], [0.3519, 0.4878, 0.9372], [0.7103, 0.1562, 0.2184], [0.5546, 0.7109, 0.7180], [0.9979, 0.8539, 0.7568], [0.1364, 0.6478, 0.9362], [0.5395, 0.7063, 0.6215], [0.3336, 0.6667, 0.4462], [0.9260, 0.1788, 0.9367], [0.0000, 0.9996, 0.6007], [0.7469, 0.9257, 0.4371], [0.5919, 0.7309, 0.0763], [0.4879, 0.1364, 0.4367], [0.8333, 0.5399, 0.1209], [0.4454, 0.2891, 0.2180], [0.6481, 0.5122, 0.4372], [0.4041, 0.5704, 0.2885], [0.1441, 0.9983, 0.2566], [0.1788, 0.2529, 0.4367], [0.7060, 0.1658, 0.1209], [0.6664, 0.3333, 0.9462], [0.4297, 0.8345, 0.2888], [0.0021, 0.1461, 0.2568], [0.5959, 0.4296, 0.7885], [0.7312, 0.1398, 0.5762], [0.0740, 0.8212, 0.4367], [0.8439, 0.5538, 0.2186], [0.2940, 0.8342, 0.6209], [0.1652, 0.5957, 0.2891], [0.1383, 0.4079, 0.0764], [0.8538, 0.8562, 0.2566], [0.2688, 0.8602, 0.0762], [0.8559, 0.0017, 0.7566], [0.5703, 0.1655, 0.7888], [0.2531, 0.0743, 0.9371], [0.4605, 0.2937, 0.1215], [0.8348, 0.4043, 0.7891], [0.1462, 0.1438, 0.7566], [0.1667, 0.4601, 0.6209], [0.3330, 0.6665, 0.8420], [0.8275, 0.7635, 0.4730], [0.9360, 0.1729, 0.4720], [0.5413, 0.9486, 0.4647], [0.4587, 0.0514, 0.9647], [0.5932, 0.5413, 0.9644], [0.0522, 0.5933, 0.4646], [0.9478, 0.4067, 0.9646], [0.6670, 0.3335, 0.3420], [0.3332, 0.6662, 0.0761], [0.2367, 0.0638, 0.4729], [0.4068, 0.4587, 0.4644], [0.1725, 0.2365, 0.9730], [0.0640, 0.8271, 0.9720], [0.7633, 0.9362, 0.9729], [0.6668, 0.3338, 0.5761], [0.6665, 0.3330, 0.8212], [0.9999, 0.0000, 0.2204], [0.0001, 0.0000, 0.7204], [0.3335, 0.6670, 0.3212]], "space_group": "P2_1", "magmom_total_mub_per_fu": 10.0}

No. 3
{"formula": "U4Si6Tc7", "functional": "GGA-PBE", "state": "relaxed", "lattice_angstrom": [[5.1954, -4.3606, -2.1604], [-3.2532, -2.8129, 5.6727], [-4.7197, 0.8563, -5.2598]], "species": ["U", "U", "U", "U", "Tc", "Tc", "Tc", "Tc", "Tc", "Tc", "Tc", "Si", "Si", "Si", "Si", "Si", "Si"], "fractional_positions": [[0.0000, 0.5000, 0.0000], [0.0000, 0.0000, 0.5000], [0.5000, 0.5000, 0.5000], [0.5000, 0.0000, 0.0000], [0.5000, 0.7500, 0.2500], [0.2500, 0.5000, 0.7500], [0.7500, 0.2500, 0.5000], [0.5000, 0.2500, 0.7500], [0.2500, 0.7500, 0.5000], [0.0000, 0.0000, 0.0000], [0.7500, 0.5000, 0.2500], [0.0000, 0.6901, 0.6901], [0.3099, 0.3099, 0.0000], [0.6901, 0.0000, 0.6901], [0.0000, 0.3099, 0.3099], [0.3099, 0.0000, 0.3099], [0.6901, 0.6901, 0.0000]], "space_group": "Im-3m"}

No. 4
{"formula": "Hf7As4", "functional": "GGA-PBE", "state": "relaxed", "lattice_angstrom": [[0.0000, -3.6124, 0.0000], [-8.1230, 1.8062, 0.0000], [3.7355, 0.0000, -14.5411]], "species": ["Hf", "Hf", "Hf", "Hf", "Hf", "Hf", "Hf", "Hf", "Hf", "Hf", "Hf", "Hf", "Hf", "Hf", "As", "As", "As", "As", "As", "As", "As", "As"], "fractional_positions": [[0.0029, 0.0057, 0.6659], [0.8037, 0.6074, 0.6900], [0.1786, 0.3571, 0.5423], [0.2074, 0.4149, 0.7974], [0.6626, 0.3253, 0.9709], [0.7926, 0.5851, 0.2026], [0.9971, 0.9943, 0.3341], [0.0000, 0.0000, 0.0000], [0.8214, 0.6429, 0.4577], [0.4308, 0.8616, 0.8292], [0.5692, 0.1384, 0.1708], [0.5000, 0.0000, 0.5000], [0.1963, 0.3926, 0.3100], [0.3374, 0.6747, 0.0291], [0.3703, 0.7406, 0.3379], [0.6256, 0.2511, 0.4002], [0.8258, 0.6516, 0.8889], [0.0640, 0.1280, 0.8511], [0.3744, 0.7489, 0.5998], [0.1742, 0.3484, 0.1111], [0.6297, 0.2594, 0.6621], [0.9360, 0.8720, 0.1489]], "space_group": "C2/m", "magmom_total_mub_per_fu": 0.0}

No. 5
{"formula": "SrI2", "functional": "GGA-PBE", "state": "relaxed", "lattice_angstrom": [[8.0376, 0.0000, 0.0000], [0.0000, 8.3208, 0.0000], [0.0000, 0.0000, 15.5828]], "species": ["Sr", "Sr", "Sr", "Sr", "Sr", "Sr", "Sr", "Sr", "I", "I", "I", "I", "I", "I", "I", "I", "I", "I", "I", "I", "I", "I", "I", "I"], "fractional_positions": [[0.7231, 0.5503, 0.1109], [0.7231, 0.0503, 0.3891], [0.2231, 0.4497, 0.3891], [0.2769, 0.4497, 0.8891], [0.2769, 0.9497, 0.6109], [0.7769, 0.5503, 0.6109], [0.2231, 0.9497, 0.1109], [0.7769, 0.0503, 0.8891], [0.5053, 0.2325, 0.0319], [0.5053, 0.7325, 0.4681], [0.4947, 0.7675, 0.9681], [0.4947, 0.2675, 0.5319], [0.6592, 0.8918, 0.7032], [0.0053, 0.2675, 0.0319], [0.1592, 0.1082, 0.7968], [0.1592, 0.6082, 0.7032], [0.6592, 0.3918, 0.7968], [0.9947, 0.2325, 0.5319], [0.3408, 0.6082, 0.2032], [0.8408, 0.3918, 0.2968], [0.8408, 0.8918, 0.2032], [0.3408, 0.1082, 0.2968], [0.0053, 0.7675, 0.4681], [0.9947, 0.7325, 0.9681]], "space_group": "Pbca"}

No. 6
{"formula": "BiRhO3", "functional": "GGA-PBE", "state": "relaxed", "lattice_angstrom": [[-5.2202, 0.5040, -1.4458], [-1.2917, -4.9825, 2.9270], [-1.3893, 4.1585, 6.4658]], "species": ["Bi", "Bi", "Bi", "Bi", "Rh", "Rh", "Rh", "Rh", "O", "O", "O", "O", "O", "O", "O", "O", "O", "O", "O", "O"], "fractional_positions": [[0.0174, 0.9333, 0.7500], [0.5174, 0.5667, 0.2500], [0.4826, 0.4333, 0.7500], [0.9826, 0.0667, 0.2500], [0.0000, 0.5000, 0.5000], [0.5000, 0.0000, 0.5000], [0.0000, 0.5000, 0.0000], [0.5000, 0.0000, 0.0000], [0.6206, 0.0461, 0.7500], [0.6743, 0.3126, 0.0467], [0.1743, 0.1874, 0.5467], [0.8257, 0.8126, 0.0467], [0.3794, 0.9539, 0.2500], [0.8794, 0.5461, 0.7500], [0.3257, 0.6874, 0.9533], [0.6743, 0.3126, 0.4533], [0.8257, 0.8126, 0.4533], [0.1743, 0.1874, 0.9533], [0.3257, 0.6874, 0.5467], [0.1206, 0.4539, 0.2500]], "space_group": "Pnma", "magmom_total_mub_per_fu": 0.0}

No. 7
{"formula": "Zr4CoNi", "functional": "GGA-PBE", "state": "relaxed", "lattice_angstrom": [[-3.2323, 3.2323, 2.6904], [3.2323, -3.2323, 2.6904], [3.2323, 3.2323, -2.6904]], "species": ["Zr", "Zr", "Zr", "Zr", "Ni", "Co"], "fractional_positions": [[0.0840, 0.9160, 0.5000], [0.4160, 0.5840, 0.5000], [0.5840, 0.0840, 0.1680], [0.9160, 0.4160, 0.8320], [0.5000, 0.5000, 0.0000], [0.0000, 0.0000, 0.0000]], "space_group": "I422"}

No. 8
{"formula": "KLaTa2O7", "functional": "GGA-PBE", "state": "relaxed", "lattice_angstrom": [[-4.6444, 7.1896, 7.4359], [4.3691, -9.5357, -4.3053], [3.5664, 1.1152, 1.1493]], "species": ["O", "O", "O", "O", "O", "O", "O", "Ta", "Ta", "K", "La"], "fractional_positions": [[0.6837, 0.3163, 0.5000], [0.5832, 0.4168, 0.0000], [0.3164, 0.6836, 0.5000], [0.9152, 0.0848, 0.5000], [0.4161, 0.5839, 0.0000], [0.0837, 0.9163, 0.5000], [0.4995, 0.5005, 0.5000], [0.6036, 0.3964, 0.5000], [0.3975, 0.6025, 0.5000], [0.7651, 0.2349, 0.0000], [0.0011, 0.9989, 0.0000]], "space_group": "Amm2", "magmom_total_mub_per_fu": 0.0}

Number 1: calculated formation energy -93 meV per atom. Number 2: calculated formation energy -643 meV per atom. Number 3: calculated formation energy -589 meV per atom. Number 4: calculated formation energy -851 meV per atom. Number 5: calculated formation energy -1947 meV per atom. Number 6: calculated formation energy -1347 meV per atom. Number 7: calculated formation energy -286 meV per atom. Number 8: calculated formation energy -3387 meV per atom.